1.
Na6MgZr3Si2P4O24 | PBE-GGA | optimized geometry

Calculated volume = 13.629 A^3/atom
ρ = 3.05 g cm⁻³
Relative energy among the computed polymorphs = 0.000 eV per atom
Formation energy = -3.027 eV per atom
Space group = P1

Cell: 9.1340 9.1469 22.5795 Å, 89.90 89.86 60.11°
Closest atoms and distances in Å follow each position.
Positions (direct):
1 Na 0.0000 0.0000 0.0000  5 O 2.39-2.62
2 Na 0.0022 0.3571 0.7564  6 O 2.45-2.74
3 Na 0.0199 0.6605 0.9174  5 O 2.47-2.74
4 Na 0.0227 0.6113 0.2509  5 O 2.38-2.63
5 Na 0.3086 0.6596 0.4253  5 O 2.46-2.55
6 Na 0.3281 0.3263 0.3347  6 O 2.50-2.68
7 Na 0.3309 0.3276 0.8354  6 O 2.52-2.70
8 Na 0.3491 0.6827 0.0792  4 O 2.30-2.55
9 Na 0.3649 0.9984 0.2455  4 O 2.33-2.57
10 Na 0.6172 0.3642 0.2448  5 O 2.37-2.63
11 Na 0.6324 0.6811 0.6668  5 O 2.43-2.72
12 Na 0.6423 0.9905 0.7549  6 O 2.46-2.69
13 Na 0.6659 0.6775 0.1590  3 O 2.32-2.42
14 Na 0.6741 0.3034 0.9246  5 O 2.44-2.72
15 Na 0.7005 0.3373 0.5813  5 O 2.43-2.57
16 Na 0.9519 0.6939 0.5762  3 O 2.28-2.44
17 Na 0.9547 0.3419 0.0749  4 O 2.30-2.49
18 Na 0.9983 0.0045 0.5025  6 O 2.46-2.61
19 Mg 0.3354 0.3269 0.1871  6 O 2.05-2.22
20 Mg 0.6665 0.6683 0.5204  5 O 2.00-2.21
21 Mg 0.6683 0.6652 0.0206  5 O 1.99-2.23
22 Zr 0.9995 0.9897 0.3592  6 O 2.04-2.15
23 Zr 0.0019 0.9888 0.1498  6 O 2.02-2.17
24 Zr 0.0103 0.9892 0.6516  4 O 1.98-2.21
25 Zr 0.0104 0.9938 0.8558  5 O 1.99-2.22
26 Zr 0.3305 0.3198 0.4817  6 O 2.06-2.18
27 Zr 0.3356 0.3314 0.6907  6 O 2.07-2.16
28 Zr 0.3372 0.3165 0.9867  6 O 2.04-2.19
29 Zr 0.6658 0.6587 0.8185  6 O 2.07-2.19
30 Zr 0.6738 0.6583 0.3217  6 O 2.00-2.21
31 Si 0.0021 0.6986 0.7551  4 O 1.63-1.65
32 Si 0.3008 0.9914 0.7523  4 O 1.62-1.64
33 Si 0.3016 0.6934 0.2538  4 O 1.62-1.67
34 Si 0.7090 0.2867 0.7539  4 O 1.63-1.65
35 Si 0.9622 0.3644 0.9252  4 O 1.61-1.67
36 Si 0.9660 0.6590 0.4249  4 O 1.60-1.67
37 P 0.0008 0.2862 0.2528  4 O 1.54-1.57
38 P 0.0339 0.3284 0.5879  4 O 1.54-1.56
39 P 0.0386 0.6194 0.0898  4 O 1.52-1.58
40 P 0.3362 0.6223 0.5828  4 O 1.53-1.57
41 P 0.3384 0.0274 0.0932  4 O 1.52-1.60
42 P 0.3734 0.6599 0.9276  4 O 1.53-1.58
43 P 0.3778 0.9493 0.4202  4 O 1.52-1.57
44 P 0.6297 0.0293 0.5881  4 O 1.53-1.58
45 P 0.6303 0.3303 0.0905  4 O 1.54-1.58
46 P 0.6701 0.3655 0.4250  4 O 1.52-1.59
47 P 0.6702 0.9521 0.9217  4 O 1.52-1.57
48 P 0.7056 0.9939 0.2541  4 O 1.53-1.56
49 O 0.0136 0.1691 0.5860  1 P 1.56
50 O 0.0168 0.1741 0.3060  1 P 1.54
51 O 0.0249 0.7851 0.8149  1 Si 1.63
52 O 0.0322 0.7957 0.0906  1 P 1.58
53 O 0.1244 0.5185 0.1464  1 P 1.54
54 O 0.1276 0.3346 0.6445  1 P 1.56
55 O 0.1451 0.3191 0.5336  1 P 1.56
56 O 0.1510 0.3504 0.9281  1 Si 1.67
57 O 0.1547 0.5276 0.0349  1 P 1.58
58 O 0.1593 0.3042 0.2496  1 P 1.54
59 O 0.1612 0.4929 0.4224  1 Si 1.67
60 O 0.1616 0.5064 0.7491  1 Si 1.64
61 O 0.1658 0.0236 0.0903  1 P 1.60
62 O 0.1679 0.7935 0.5863  1 P 1.56
63 O 0.1773 0.0259 0.8093  1 Si 1.63
64 O 0.1812 0.7949 0.3110  1 Si 1.65
65 O 0.1887 0.8066 0.9205  1 P 1.55
66 O 0.1963 0.9754 0.4142  1 P 1.56
67 O 0.2052 0.8174 0.1957  1 Si 1.67
68 O 0.2104 0.9665 0.6939  1 Si 1.63
69 O 0.3154 0.1627 0.7479  1 Si 1.64
70 O 0.3195 0.1465 0.0401  1 P 1.57
71 O 0.3189 0.5081 0.2505  1 Si 1.62
72 O 0.3192 0.5325 0.5264  1 P 1.57
73 O 0.3479 0.1095 0.1511  1 P 1.53
74 O 0.3482 0.5091 0.6366  1 P 1.56
75 O 0.3620 0.1253 0.4247  1 P 1.55
76 O 0.3643 0.4914 0.9273  1 P 1.58
77 O 0.4491 0.6785 0.9853  1 P 1.53
78 O 0.4631 0.8295 0.4717  1 P 1.52
79 O 0.4751 0.8702 0.3608  1 P 1.57
80 O 0.4841 0.8481 0.0854  1 P 1.52
81 O 0.4863 0.6441 0.8738  1 P 1.55
82 O 0.4890 0.6791 0.2570  1 Si 1.65
83 O 0.4895 0.8320 0.7589  1 Si 1.62
84 O 0.4956 0.6368 0.5822  1 P 1.53
85 O 0.5074 0.3491 0.4246  1 P 1.57
86 O 0.5185 0.1380 0.9275  1 P 1.57
87 O 0.5245 0.3003 0.7489  1 Si 1.63
88 O 0.5279 0.1469 0.2492  1 P 1.53
89 O 0.5291 0.1467 0.5354  1 P 1.56
90 O 0.5296 0.3390 0.1462  1 P 1.54
91 O 0.5362 0.1191 0.6462  1 P 1.56
92 O 0.5410 0.3158 0.0337  1 P 1.56
93 O 0.6459 0.4802 0.3690  1 P 1.59
94 O 0.6486 0.4896 0.0880  1 P 1.55
95 O 0.6488 0.8809 0.8620  1 P 1.55
96 O 0.6526 0.8522 0.5854  1 P 1.53
97 O 0.6853 0.4485 0.4811  1 P 1.52
98 O 0.6874 0.8394 0.9736  1 P 1.52
99 O 0.6946 0.4705 0.7603  1 Si 1.63
100 O 0.6978 0.8274 0.2575  1 P 1.56
101 O 0.7937 0.0170 0.3087  1 P 1.55
102 O 0.7994 0.1682 0.8122  1 Si 1.64
103 O 0.8071 0.0196 0.5870  1 P 1.58
104 O 0.8139 0.1718 0.0904  1 P 1.58
105 O 0.8192 0.9710 0.1991  1 P 1.56
106 O 0.8263 0.1897 0.4161  1 P 1.54
107 O 0.8277 0.1954 0.6954  1 Si 1.65
108 O 0.8309 0.6835 0.7592  1 Si 1.64
109 O 0.8324 0.9701 0.9196  1 P 1.57
110 O 0.8398 0.4647 0.2584  1 P 1.57
111 O 0.8484 0.4505 0.9831  1 Si 1.61
112 O 0.8582 0.4872 0.5865  1 P 1.54
113 O 0.8615 0.6760 0.4838  1 Si 1.60
114 O 0.8626 0.6413 0.0835  1 P 1.52
115 O 0.8721 0.4820 0.8659  1 Si 1.66
116 O 0.8725 0.6467 0.3633  1 Si 1.67
117 O 0.9722 0.2057 0.1960  1 P 1.57
118 O 0.9767 0.8162 0.6965  1 Si 1.65
119 O 0.9804 0.1766 0.9187  1 Si 1.65
120 O 0.9985 0.8227 0.4195  1 Si 1.67



2.
Pr2CdAg | PBE-GGA | optimized geometry

Calculated volume = 28.378 A^3/atom
ρ = 7.35 g cm⁻³
Formation energy = -0.274 eV per atom
Space group = Fm-3m

Cell: 7.6860 7.6860 7.6860 Å, 90.00 90.00 90.00°
Closest atoms and distances in Å follow each position.
Positions (direct):
1 Pr 0.2500 0.2500 0.2500  4 Cd 3.33, 4 Ag 3.33
2 Pr 0.2500 0.2500 0.7500  4 Cd 3.33, 4 Ag 3.33
3 Pr 0.2500 0.7500 0.2500  4 Cd 3.33, 4 Ag 3.33
4 Pr 0.2500 0.7500 0.7500  4 Cd 3.33, 4 Ag 3.33
5 Pr 0.7500 0.2500 0.2500  4 Cd 3.33, 4 Ag 3.33
6 Pr 0.7500 0.2500 0.7500  4 Cd 3.33, 4 Ag 3.33
7 Pr 0.7500 0.7500 0.2500  4 Cd 3.33, 4 Ag 3.33
8 Pr 0.7500 0.7500 0.7500  4 Cd 3.33, 4 Ag 3.33
9 Cd 0.0000 0.0000 0.0000  8 Pr 3.33
10 Cd 0.0000 0.5000 0.5000  8 Pr 3.33
11 Cd 0.5000 0.0000 0.5000  8 Pr 3.33
12 Cd 0.5000 0.5000 0.0000  8 Pr 3.33
13 Ag 0.0000 0.0000 0.5000  8 Pr 3.33
14 Ag 0.0000 0.5000 0.0000  8 Pr 3.33
15 Ag 0.5000 0.0000 0.0000  8 Pr 3.33
16 Ag 0.5000 0.5000 0.5000  8 Pr 3.33



3.
PuFeC2 | PBE-GGA | optimized geometry

Calculated volume = 10.674 A^3/atom
ρ = 12.60 g cm⁻³
Formation energy = 0.215 eV per atom
Space group = P4/nmm

Cell: 3.4104 3.4104 7.3418 Å, 90.00 90.00 90.00°
Closest atoms and distances in Å follow each position.
Positions (direct):
1 Pu 0.2500 0.2500 0.1754  5 C 2.29-2.43
2 Pu 0.7500 0.7500 0.8246  5 C 2.29-2.43
3 Fe 0.2500 0.7500 0.5000  4 C 2.09
4 Fe 0.7500 0.2500 0.5000  4 C 2.09
5 C 0.2500 0.2500 0.6650  1 C 1.46
6 C 0.2500 0.2500 0.8638  1 C 1.46
7 C 0.7500 0.7500 0.1362  1 C 1.46
8 C 0.7500 0.7500 0.3350  1 C 1.46



4.
CoAsS | PBE-GGA | optimized geometry

Calculated volume = 15.147 A^3/atom
ρ = 6.06 g cm⁻³
Relative energy among the computed polymorphs = 0.117 eV per atom
Formation energy = -0.499 eV per atom
Space group = P2/m

Cell: 4.7916 3.3810 5.6271 Å, 90.00 94.46 90.00°
Closest atoms and distances in Å follow each position.
Positions (direct):
1 Co 0.0000 0.0000 0.0000  4 S 2.25, 2 As 2.35
2 Co 0.5000 0.5000 0.5000  2 S 2.22, 4 As 2.36
3 As 0.2088 0.0000 0.6363  3 Co 2.35-2.36, 1 As 2.42
4 As 0.7912 0.0000 0.3637  3 Co 2.35-2.36, 1 As 2.42
5 S 0.2745 0.5000 0.1401  3 Co 2.22-2.25
6 S 0.7255 0.5000 0.8599  3 Co 2.22-2.25



5.
Np | PBE-GGA | optimized geometry

Calculated volume = 18.462 A^3/atom
ρ = 21.32 g cm⁻³
Relative energy among the computed polymorphs = 0.079 eV per atom
Formation energy = 0.079 eV per atom
Space group = P4/nmm

Cell: 4.6134 4.6134 3.4697 Å, 90.00 90.00 90.00°
Closest atoms and distances in Å follow each position.
Positions (direct):
1 Np 0.2500 0.2500 0.1814  4 Np 2.56
2 Np 0.2500 0.7500 0.5000  4 Np 2.56
3 Np 0.7500 0.2500 0.5000  4 Np 2.56
4 Np 0.7500 0.7500 0.8186  4 Np 2.56



6.
NaSbPCO7 | PBE-GGA | optimized geometry

Calculated volume = 15.491 A^3/atom
ρ = 2.92 g cm⁻³
Formation energy = -2.102 eV per atom
Space group = P2_1

Cell: 5.5471 6.6630 9.2232 Å, 90.00 91.26 90.00°
Closest atoms and distances in Å follow each position.
Positions (direct):
1 Na 0.2380 0.0000 0.2163  3 O 2.21-2.46
2 Na 0.7620 0.5000 0.7837  3 O 2.21-2.46
3 Sb 0.2081 0.7740 0.6482  5 O 2.08-2.16
4 Sb 0.7919 0.2740 0.3518  5 O 2.08-2.16
5 P 0.2787 0.2699 0.5739  4 O 1.54-1.57
6 P 0.7213 0.7699 0.4261  4 O 1.54-1.57
7 C 0.2784 0.7532 0.9229  3 O 1.22-1.35
8 C 0.7216 0.2532 0.0771  3 O 1.22-1.35
9 O 0.0611 0.7581 0.8531  1 C 1.35
10 O 0.1671 0.2526 0.4170  1 P 1.57
11 O 0.1683 0.4527 0.6545  1 P 1.56
12 O 0.2007 0.0891 0.6695  1 P 1.56
13 O 0.3083 0.7628 0.0546  1 C 1.22
14 O 0.4455 0.7930 0.4378  1 P 1.54
15 O 0.4585 0.7410 0.8272  1 C 1.35
16 O 0.5415 0.2410 0.1728  1 C 1.35
17 O 0.5545 0.2930 0.5622  1 P 1.54
18 O 0.6917 0.2628 0.9454  1 C 1.22
19 O 0.7993 0.5891 0.3305  1 P 1.56
20 O 0.8317 0.9527 0.3455  1 P 1.56
21 O 0.8329 0.7526 0.5830  1 P 1.57
22 O 0.9389 0.2581 0.1469  1 C 1.35